Run P
# LiNiP4O12

Crystalline LiNiP4O12 at its relaxed geometry (GGA+U, Materials Project).

Structure (extended XYZ):
```
36
Lattice="-1.5421 3.9056 7.6946 -3.5893 -5.8909 2.2708 6.3518 -3.1235 2.8584" Properties=species:S:1:pos:R:3 pbc="T T T"
P 3.5654 -2.7698 9.1452
P 0.7011 -3.3175 2.8925
P -0.1194 -5.4726 6.5296
P -2.2015 -2.7026 2.9623
P -2.4562 -3.9674 5.7284
P 0.9604 -2.9087 7.7300
P 3.1483 0.1964 9.7311
P 0.9447 1.3644 8.2656
O -2.0477 -3.2092 10.9493
O 3.1860 -6.0746 4.6992
O 3.8454 -1.1985 9.4041
O 0.5560 -1.9665 6.6324
O -0.4118 1.0548 9.0924
O 0.2383 -2.8678 9.0427
O -2.7905 -3.4914 4.2450
O 4.1878 -3.6413 3.4378
O 0.5830 1.2160 6.8145
O -2.4281 -2.8335 6.6949
O -0.9644 -4.5579 5.5000
O 1.9119 0.1399 8.6849
O 2.9426 -3.4035 10.3468
O 2.5758 -0.1465 5.3283
O 1.2718 -4.6807 3.1606
O 0.9463 -4.4265 7.1537
O 0.5418 -4.6171 11.5836
O -0.8792 -3.5618 2.6357
O -1.4964 -0.2225 5.7834
O 2.5605 -2.7145 7.8880
O 0.9667 -2.2021 3.8577
O 0.1714 0.7927 3.7705
O -1.8890 -1.2830 3.3091
O 0.6913 -6.4614 5.7401
Li -3.0748 -2.0006 8.2596
Li 4.1806 -2.8182 5.1357
Ni 1.4281 -6.5657 3.8072
Ni 0.5051 -0.3486 5.4596
```

Run Q
# LiNiP4O12

Crystalline LiNiP4O12 at its relaxed geometry (GGA+U, Materials Project).

Structure (extended XYZ):
```
72
Lattice="-8.9079 1.9738 1.2986 -2.0446 -9.2615 0.0516 1.4483 -0.2622 10.3337" Properties=species:S:1:pos:R:3 pbc="T T T"
O 0.3138 -1.3789 4.7487
O -2.5044 -5.6909 3.1306
O -4.3021 0.0345 4.5080
O -4.4780 -2.4970 6.2799
O -3.7706 -7.5245 7.8948
O -6.7473 -7.0487 5.8539
O -3.8188 -4.5193 4.8520
O -9.2197 -6.6558 2.4221
O -3.3375 0.1262 1.3670
O -5.4793 -2.2847 8.9677
O -6.1288 -4.0932 5.1307
O -4.0224 -2.8226 0.6768
O -8.3826 -4.2957 4.0519
O -10.1695 -6.2913 5.2041
O -4.3795 -7.8510 5.4456
O -3.4308 -0.3365 9.6824
O -9.3075 -6.6606 10.3113
O -0.0127 -0.8049 10.2840
O -10.0823 -3.9570 1.7567
O -5.6116 0.7152 1.6448
O -8.1092 -3.8949 6.5500
O -2.1799 -0.6380 6.9456
O -8.8399 -7.1889 7.1684
O -1.6064 -3.4705 4.1100
O -3.0765 -5.1328 9.5455
O -6.0653 -4.6204 9.8916
O -9.1159 -4.2394 8.8000
O -5.1058 0.1592 7.2901
O -0.5979 -3.5694 1.3265
O -6.7443 -6.7728 8.3927
O -7.3513 -2.5564 10.6127
O -6.5070 -2.5490 1.0880
O -7.2930 0.2241 3.3755
O -6.5374 0.3638 11.2842
O -3.2141 -7.8366 1.6362
O -2.4666 -2.8602 8.4688
O -4.7619 -7.2669 10.5823
O -0.0989 -3.8579 6.5552
O -2.1907 -8.5764 6.2571
O -4.8102 -4.9026 7.1547
O -7.5491 -2.0049 4.8942
O -5.7241 -6.9854 3.5384
O -1.7013 -5.5923 5.5528
O -5.2998 -4.6158 1.9932
O -4.9185 -2.3098 2.9890
O -0.7381 -4.1068 9.7024
O -1.3759 -0.9949 2.4532
O 0.7502 -1.5652 8.0402
P -2.3017 -3.8502 9.6015
P -1.3167 -9.2137 5.0585
P -5.8362 -7.8281 4.7706
P -0.2921 -5.3270 6.2979
P -7.7056 1.1897 10.5331
P -1.7473 0.0312 1.4325
P -3.0544 0.5539 10.8216
P -2.3450 -4.7596 4.3128
P -5.9487 -3.1246 10.1110
P -7.3134 -7.6134 7.2702
P -7.6114 -3.5105 5.0626
P -9.8579 -2.4915 1.4823
P -4.7794 -3.9486 6.0052
P -7.0483 1.1234 2.1831
P -3.7010 -8.4960 6.7616
P -5.1745 -3.1344 1.7661
Li -4.3920 -6.2917 2.2654
Li -5.8318 -1.1063 4.2514
Li -7.8993 -5.4979 9.7014
Li -0.8853 -2.2039 7.1494
Ni -4.8189 -6.0373 8.8931
Ni -1.2729 -7.1259 2.1700
Ni -3.9047 -1.3878 7.9562
Ni -9.0120 -0.5488 4.3484
```

Run R
# LiNiP4O12

Crystalline LiNiP4O12 at its relaxed geometry (GGA+U, Materials Project).

Structure (extended XYZ):
```
72
Lattice="-4.4907 -11.0670 5.5048 6.6082 -0.8559 3.6702 1.8627 4.3450 10.2549" Properties=species:S:1:pos:R:3 pbc="T T T"
P 2.2809 -0.5223 4.3408
P -1.7589 -5.5772 5.7303
P 2.0041 -6.1816 8.4463
P 1.6992 -7.0555 15.0891
P -0.0740 -3.2714 4.8281
P -2.3100 -7.0579 12.6750
P 4.0541 -4.3064 14.6019
P 4.3474 1.7576 10.2673
P 2.0905 -9.0229 10.7398
P 2.0818 -3.7030 6.7754
P 5.7389 -2.0007 13.6996
P 1.8982 -3.8748 12.6545
P -0.3673 -9.3354 9.1626
P 1.9760 -1.3962 10.9836
P 6.2900 -0.5199 6.7549
P 1.8896 1.4450 8.6901
O 3.0286 -1.6525 3.7290
O 3.9179 -4.8170 15.9939
O 3.5305 -3.2996 6.7787
O -1.8784 -6.2758 13.9033
O 5.5063 -2.2924 12.2273
O 5.6005 -0.5717 14.1134
O -1.5009 -6.8341 11.4390
O 1.3027 0.1735 8.1845
O -1.6205 -7.0061 5.3165
O 0.4739 -10.1269 8.1641
O 0.6936 -8.3077 14.8483
O 2.3960 -6.8472 13.7818
O 4.7666 -5.1934 13.6027
O -0.7565 -4.7244 4.8066
O 2.6774 -7.7513 11.2454
O -1.2472 -8.3372 8.4621
O 0.5756 -8.6643 10.2665
O 1.9352 0.0119 11.4868
O 1.7848 -10.0049 11.9725
O 3.2865 0.7299 4.5816
O 2.0449 -7.5898 7.9431
O 1.5841 -0.7306 5.6481
O 5.2273 0.7594 10.9678
O 3.0240 -1.7865 10.0037
O 0.9561 -5.7914 9.4262
O 2.7127 -4.7322 11.6888
O 0.4496 -4.2783 12.6512
O 1.4290 -3.6593 5.3160
O 5.4810 -0.7438 7.9909
O -1.5263 -5.2855 7.2026
O 4.7366 -2.8534 14.6233
O -0.7865 -2.3844 5.8272
O 5.8584 -1.3020 5.5266
O 1.1191 2.1891 9.7604
O 3.4045 1.0865 9.1634
O 2.0962 -2.3259 12.3096
O 1.2674 -2.8456 7.7411
O 0.5206 -1.8255 10.4518
O 2.7205 -7.6960 16.1530
O 0.9515 -5.9253 15.7009
O 1.2596 0.1182 3.2769
O 3.4595 -5.7523 8.9781
O 2.5511 -3.9185 14.1139
O 2.1952 2.4271 7.4574
O 1.8838 -5.2519 7.1203
O 2.8610 -9.7669 9.6695
O 0.0622 -2.7609 3.4360
O 3.5062 2.5491 11.2658
Ni 0.2792 -1.1973 7.1141
Ni 2.3582 -9.5668 7.6926
Ni 1.6219 1.9889 11.7373
Ni 3.7009 -6.3806 12.3159
Li -0.0847 -5.5556 11.0302
Li -1.3862 -8.6404 6.3565
Li 4.0647 -2.0222 8.3998
Li 5.3662 1.0626 13.0734
```

Energies relative to the most stable structure are run P 3.6; run Q 0.0; run R 2.5, reported in kJ/mol of atoms.

Run P
# LiNiP4O12

Crystalline LiNiP4O12 at its relaxed geometry (GGA+U, Materials Project).

Structure (extended XYZ):
```
36
Lattice="6.7669 4.7151 0.0000 -6.7669 4.7151 0.0000 0.0000 1.6939 7.6319" Properties=species:S:1:pos:R:3 pbc="T T T"
O 1.4489 7.5098 2.4578
O 1.7539 2.1407 3.7006
O -5.0849 5.1331 1.8045
O 3.7023 3.7517 1.4814
O 1.7060 9.7396 7.6168
O -1.4104 3.6076 5.0520
O 1.4104 2.7606 1.2361
O 2.0593 6.2978 7.2935
O -0.4561 1.6386 2.5222
O -1.4489 8.3567 6.2737
O -1.7539 2.9876 7.5165
O -1.5892 5.8871 5.9662
O -2.1511 5.3159 0.5651
O 3.7167 6.4222 2.3014
O -0.4649 8.5404 1.2657
O 1.5892 5.0402 2.1503
O 0.4649 9.3873 5.0816
O -2.0593 5.4509 3.4776
O -3.7023 4.5986 5.2974
O -3.7167 7.2692 6.1174
O 5.0849 5.9800 5.6205
O 0.4561 2.4855 6.3382
O 2.1511 6.1628 4.3810
O -1.7060 8.8927 3.8008
P 2.3258 6.2508 2.9175
P 2.2613 4.0915 1.0272
P -1.0640 9.3250 5.0839
P 1.0640 8.4781 1.2679
P -1.0542 2.6021 6.2511
P -2.2613 4.9384 4.8431
P 1.0542 1.7552 2.4352
P -2.3258 7.0978 6.7334
Ni 5.0233 5.1133 1.8725
Ni -5.0233 5.9603 5.6885
Li 2.0807 7.4558 5.7976
Li -2.0807 6.6089 1.9816
```

Run Q
# LiNiP4O12

Crystalline LiNiP4O12 at its relaxed geometry (GGA+U, Materials Project).

Structure (extended XYZ):
```
36
Lattice="-10.3122 -2.5961 -8.5193 2.5214 -4.0062 -1.8312 -2.5224 -4.8349 4.5266" Properties=species:S:1:pos:R:3 pbc="T T T"
O -2.5829 -3.7321 -4.5098
O -7.8668 -2.3957 -6.3639
O -4.0394 -7.3030 -3.5321
O -6.7577 -5.2034 -3.3795
O -6.7227 -2.7747 -4.1770
O -0.8526 -1.4225 -1.0202
O -6.6569 -9.3089 -2.4876
O -4.3968 -4.5421 -1.2984
O -10.8773 -8.4974 -3.9141
O -0.5274 -5.4714 0.0572
O -2.3975 -3.3386 0.2713
O -0.5766 -7.9038 0.8429
O -2.7034 -9.1063 0.3275
O -1.6569 -4.2075 -2.1411
O -3.1401 -5.8684 0.9985
O -10.8410 -5.9346 -3.9178
O -6.3615 -5.3646 -6.1521
O -2.6909 -6.7290 -1.5114
O -11.1939 -5.3729 -6.3566
O -8.3357 -7.5041 -6.5243
O -1.8420 -6.0992 -3.8640
O -6.2121 -7.6697 -4.6879
O -8.9197 -5.0348 -5.3844
O -8.6380 -7.2251 -3.6678
P -1.6591 -4.4943 -3.6289
P -7.2428 -3.8200 -3.0677
P -2.5324 -7.2129 -2.9392
P -10.3875 -4.8806 -5.0382
P -10.1291 -7.3142 -3.4136
P -5.0290 -5.6453 -6.8264
P -3.6653 -5.3843 2.3398
P 0.0960 -6.8201 -0.1403
Ni -2.4930 -5.0327 -0.6099
Ni -7.5485 -6.3361 -4.9896
Li -5.9508 -7.9052 -1.4899
Li 0.5992 -2.2829 -0.2351
```

Energies relative to the most stable structure are run P 0.0; run Q 1.7, reported in kJ/mol of atoms.

Run P
# MgCo4Ni2O8

Crystalline MgCo4Ni2O8 at its relaxed geometry (GGA+U, Materials Project).

Structure (extended XYZ):
```
15
Lattice="6.1476 -0.1444 -0.2043 2.9487 5.1073 0.0000 2.8692 1.7484 4.7688" Properties=species:S:1:pos:R:3 pbc="T T T"
Ni 4.5482 2.4815 -0.1021
Ni 2.9090 3.4279 2.3844
O 5.7656 1.7786 1.2754
O 7.3985 2.5358 3.3877
O 4.3974 2.5685 3.6127
O 4.5670 4.1755 1.1768
O 6.1999 4.9327 3.2891
O 3.0905 1.6181 1.1768
O 7.5681 4.1428 0.9518
O 8.8750 5.0932 3.3877
Co 1.1428 1.0427 0.8233
Co 4.5084 0.8020 2.2823
Co 5.9828 3.3556 2.2823
Co 10.8228 5.6686 3.7412
Mg 3.0738 -0.0722 -0.1021
```

Run Q
# MgCo4Ni2O8

Crystalline MgCo4Ni2O8 at its relaxed geometry (GGA+U, Materials Project).

Structure (extended XYZ):
```
15
Lattice="-3.1865 4.9807 1.5786 -4.4480 0.0796 4.4892 0.6206 2.8335 5.3889" Properties=species:S:1:pos:R:3 pbc="T T T"
Co -1.2830 3.9071 3.4837
Co -6.0058 6.5543 9.6944
Co -3.5070 3.9469 5.7283
Co -1.0082 1.3396 1.7623
Ni -1.9137 1.4566 4.9390
Ni -3.8173 2.5302 3.0339
O -3.0763 5.7425 6.3099
O -1.9095 2.1710 3.1314
O -3.8036 3.4075 7.8478
O -5.1045 5.7228 8.3253
O -3.9377 2.1513 5.1467
O -3.2105 4.4864 3.6088
O -5.6391 4.4427 6.0108
O -1.3749 3.4512 5.4459
Mg 0.0000 0.0000 0.0000
```

Energies relative to the most stable structure are run P 13.0; run Q 0.0, reported in kJ/mol of atoms.

Run P
# Li3Fe2Si2O8

Crystalline Li3Fe2Si2O8 at its relaxed geometry (GGA+U, Materials Project).

Structure (extended XYZ):
```
15
Lattice="-4.8217 0.4607 1.3676 1.1195 -2.3174 4.6510 1.3953 6.0746 2.5200" Properties=species:S:1:pos:R:3 pbc="T T T"
O 0.5832 0.1419 3.6533
O -1.2915 1.7053 5.9016
O -0.6444 4.1172 7.0933
O -0.3286 -0.0489 1.1354
O 0.2862 2.3706 2.0985
O -1.1974 4.0260 4.4599
O -2.5726 0.9838 2.9277
O 1.0552 2.9086 5.4965
Fe 0.8307 -1.8295 3.7330
Fe -0.8075 5.8086 4.0255
Si -0.5421 3.1237 5.6880
Si 0.6976 0.8327 2.1519
Li -3.1401 1.5968 6.5670
Li -1.4782 2.9454 2.6976
Li -1.2503 0.4810 4.4256
```

Properties
- largest piezoelectric modulus (C/m2) = 1.1

Run Q
# Li3Fe2Si2O8

Crystalline Li3Fe2Si2O8 at its relaxed geometry (GGA+U, Materials Project).

Structure (extended XYZ):
```
30
Lattice="-3.0157 4.0742 -0.8027 -2.5869 -2.9505 -5.2570 -7.5958 -4.4340 6.0316" Properties=species:S:1:pos:R:3 pbc="T T T"
O -8.9762 -5.9578 2.2432
O -10.1401 -1.5388 -1.0717
O -7.9660 0.0254 -1.5146
O -10.0995 -4.6861 -0.1699
O -7.3190 -2.9133 -0.0735
O -2.2295 1.3482 -0.6897
O -6.6836 -1.9531 -3.2874
O -8.7070 -2.9245 2.8963
O -3.5939 -3.0347 -3.3560
O -9.6987 -0.7100 3.9967
O -6.1187 -0.7454 2.3018
O -9.0371 -0.2923 0.9827
O -4.1870 0.2032 -3.2665
O -2.4673 -1.8201 -1.2953
O -3.6157 -1.5802 1.5891
O -5.1728 -0.3513 -0.1897
Li -8.9916 -3.1968 -1.1446
Li -10.0625 -4.0182 1.8992
Li -7.5199 -4.5622 3.0167
Li -6.4292 -1.5787 -1.1605
Li -4.7721 -1.5494 -4.0482
Li -6.3556 1.2127 -0.7001
Si -6.3512 -4.2198 0.2047
Si -4.8016 -0.4352 1.4194
Si -8.9662 -2.1568 4.3376
Si -5.1576 1.5157 -3.5043
Fe -8.8529 -6.0828 0.3157
Fe -3.4613 -0.0603 -1.3168
Fe -7.6988 -1.6834 1.5820
Fe -7.6902 -0.3056 -3.4015
```

Run R
# Li3Fe2Si2O8

Crystalline Li3Fe2Si2O8 at its relaxed geometry (GGA+U, Materials Project).

Structure (extended XYZ):
```
30
Lattice="-0.0260 -0.0100 5.1700 -0.0044 6.6150 -0.0132 -10.5659 0.0077 0.0490" Properties=species:S:1:pos:R:3 pbc="T T T"
O -3.6411 6.3081 3.1971
O -0.7373 4.9200 3.5580
O -6.8417 2.9733 0.7052
O -3.9611 5.0170 0.2999
O -8.9786 3.5527 3.3216
O -6.3772 1.6173 3.0004
O -1.2171 1.7866 2.9717
O -1.7527 0.3606 0.7488
O -9.0364 6.3319 3.2323
O -1.7735 2.9721 0.5868
O -4.5734 1.5320 1.0907
O -9.9423 1.7039 1.1052
O -9.3750 5.0187 0.3393
O -3.5918 3.5831 3.2796
O -5.9523 4.8811 3.5722
O -6.9933 0.3000 0.7140
Fe -3.5207 6.5548 1.2756
Fe -1.7491 3.3917 3.9078
Fe -8.6836 3.4422 1.2457
Fe -7.0812 6.5494 3.8787
Li -8.8790 6.6001 1.2423
Li -4.4695 1.6819 3.3316
Li -3.6570 3.3201 1.2218
Li -6.9941 3.2864 3.9350
Li -9.6536 1.6360 3.3266
Li -1.6845 6.6064 3.9125
Si -4.3870 4.9463 3.8645
Si -0.9741 1.7110 1.3054
Si -9.6501 4.9543 3.9039
Si -6.2656 1.5942 1.3399
```

Energies relative to the most stable structure are run P 3.4; run Q 0.0; run R 2.1, reported in kJ/mol of atoms.